1.
Ba2CuIO2: optimized geometry, PBE.

The value obtained for the total DFT energy (no corrections) is -5.165 eV/atom. Its crystal system is monoclinic.

Lattice parameters (Å, degrees): 11.1603 4.4509 14.2442 90.00 91.39 90.00
Space group P2_1/m (No. 11)
Inequivalent atoms, fractional coordinates:
Ba 0.0804 0.2500 0.4051 x2
Ba 0.2038 0.2500 0.8943 x2
Ba 0.3300 0.7500 0.1435 x2
Ba 0.4099 0.7500 0.6799 x2
Cu 0.1684 0.2500 0.6538 x2
Cu 0.4341 0.7500 0.9086 x2
I 0.0632 0.2500 0.1439 x2
I 0.3479 0.7500 0.4138 x2
O 0.0339 0.2500 0.5812 x2
O 0.2906 0.7500 0.9664 x2
O 0.3024 0.2500 0.7288 x2
O 0.4430 0.2500 0.1734 x2

---

2.
BaInCu6O8: optimized geometry, PBE.

The value obtained for the total DFT energy (no corrections) is -5.108 eV/atom. Its crystal system is cubic.

Lattice parameters (Å, degrees): 9.3936 9.3936 9.3936 90.00 90.00 90.00
Space group Fm-3m (No. 225)
Inequivalent atoms, fractional coordinates:
Ba 0.0000 0.0000 0.0000 x4
In 0.0000 0.0000 0.5000 x4
Cu 0.0000 0.2500 0.2500 x24
O 0.1422 0.1422 0.3578 x32

---

3.
Ba3In4Cu3O12: optimized geometry, PBE.

The value obtained for the total DFT energy (no corrections) is -5.605 eV/atom. Its crystal system is tetragonal.

Lattice parameters (Å, degrees): 12.3340 12.3340 8.6275 90.00 90.00 90.00
Space group I4/mcm (No. 140)
Inequivalent atoms, fractional coordinates:
Ba 0.0000 0.0000 0.0000 x4
Ba 0.2204 0.2796 0.0000 x8
In 0.0000 0.2429 0.2500 x16
Cu 0.0000 0.5000 0.2500 x4
Cu 0.1048 0.3952 0.5000 x8
O 0.0018 0.2692 0.5000 x16
O 0.1124 0.3876 0.2723 x16
O 0.1298 0.1298 0.2500 x16

---

4.
Ba2InCuO4: optimized geometry, PBE.

The value obtained for the total DFT energy (no corrections) is -5.693 eV/atom. Its crystal system is tetragonal.

Lattice parameters (Å, degrees): 4.2218 4.2218 8.2652 90.00 90.00 90.00
Space group P4/mmm (No. 123)
Inequivalent atoms, fractional coordinates:
Ba 0.0000 0.0000 0.2313 x2
In 0.5000 0.5000 0.0000 x1
Cu 0.5000 0.5000 0.5000 x1
O 0.0000 0.5000 0.0000 x2
O 0.5000 0.5000 0.2810 x2

---

5.
BaInCu3Se4: optimized geometry, PBE.

The value obtained for the total DFT energy (no corrections) is -3.841 eV/atom. Its crystal system is cubic.

Lattice parameters (Å, degrees): 6.3557 6.3557 6.3557 90.00 90.00 90.00
Space group P-43m (No. 215)
Inequivalent atoms, fractional coordinates:
Ba 0.0000 0.0000 0.0000 x1
In 0.5000 0.5000 0.5000 x1
Cu 0.0000 0.5000 0.5000 x3
Se 0.2712 0.2712 0.7288 x4

---

6.
Ba2LaMgCu3O7: optimized geometry, PBE.

The value obtained for the total DFT energy (no corrections) is -5.804 eV/atom. Its crystal system is orthorhombic.

Lattice parameters (Å, degrees): 3.7950 4.0086 14.6341 90.00 90.00 90.00
Space group Pmm2 (No. 25)
Inequivalent atoms, fractional coordinates:
Ba 0.0000 0.0000 0.0000 x1
Ba 0.0000 0.0000 0.3020 x1
La 0.0000 0.0000 0.7397 x1
Mg 0.0000 0.5000 0.4901 x1
Cu 0.5000 0.5000 0.1546 x1
Cu 0.5000 0.5000 0.6278 x1
Cu 0.5000 0.5000 0.8642 x1
O 0.0000 0.5000 0.6225 x1
O 0.0000 0.5000 0.8397 x1
O 0.5000 0.0000 0.1903 x1
O 0.5000 0.0000 0.6361 x1
O 0.5000 0.0000 0.8533 x1
O 0.5000 0.5000 0.0228 x1
O 0.5000 0.5000 0.4237 x1

---

7.
Ba2LaMgTaCu2O8: optimized geometry, PBE.

The value obtained for the total DFT energy (no corrections) is -6.875 eV/atom. Its crystal system is orthorhombic.

Lattice parameters (Å, degrees): 11.7230 6.0495 6.5621 90.00 90.00 90.00
Space group Amm2 (No. 38)
Inequivalent atoms, fractional coordinates:
Ba 0.1943 0.0000 0.0000 x4
La 0.5000 0.0000 0.7750 x2
Mg 0.5000 0.0000 0.2113 x2
Ta 0.0000 0.0000 0.4808 x2
Cu 0.3142 0.0000 0.4940 x4
O 0.0000 0.2389 0.6626 x4
O 0.1577 0.0000 0.3943 x4
O 0.3830 0.2294 0.1059 x8

---

8.
Ba2LaMgTaCu2O8: optimized geometry, PBE.

The value obtained for the total DFT energy (no corrections) is -6.788 eV/atom. Its crystal system is tetragonal.

Lattice parameters (Å, degrees): 4.0979 4.0979 13.6166 90.00 90.00 90.00
Space group P4/mmm (No. 123)
Inequivalent atoms, fractional coordinates:
Ba 0.0000 0.0000 0.2459 x2
La 0.0000 0.0000 0.5000 x1
Mg 0.0000 0.0000 0.0000 x1
Ta 0.5000 0.5000 0.0000 x1
Cu 0.5000 0.5000 0.3887 x2
O 0.0000 0.5000 0.0000 x2
O 0.0000 0.5000 0.3824 x4
O 0.5000 0.5000 0.1441 x2

---

9.
Ba2La3NdCu2O10: optimized geometry, PBE.

The value obtained for the total DFT energy (no corrections) is -7.120 eV/atom. Its crystal system is orthorhombic.

Lattice parameters (Å, degrees): 5.9185 9.6831 9.6974 90.00 90.00 90.00
Space group Amm2 (No. 38)
Inequivalent atoms, fractional coordinates:
Ba 0.0000 0.2481 0.0000 x4
La 0.5000 0.0000 0.5749 x2
La 0.5000 0.1754 0.2498 x4
Nd 0.5000 0.0000 0.9249 x2
Cu 0.0000 0.0000 0.2494 x2
Cu 0.0000 0.0000 0.7520 x2
O 0.2385 0.0000 0.3911 x4
O 0.2395 0.0000 0.1081 x4
O 0.2405 0.1386 0.7537 x8
O 0.5000 0.2481 0.0013 x4

---

10.
BaLa4Cu5O12: optimized geometry, PBE.

The value obtained for the total DFT energy (no corrections) is -6.684 eV/atom. Its crystal system is tetragonal.

Lattice parameters (Å, degrees): 8.7232 8.7232 3.8844 90.00 90.00 90.00
Space group P4/m (No. 83)
Inequivalent atoms, fractional coordinates:
Ba 0.0000 0.0000 0.0000 x1
La 0.2014 0.3739 0.0000 x4
Cu 0.0940 0.6656 0.5000 x4
Cu 0.5000 0.5000 0.5000 x1
O 0.0898 0.6518 0.0000 x4
O 0.1050 0.2340 0.5000 x4
O 0.2871 0.5549 0.5000 x4

---

11.
Ba2LaCu3O7: optimized geometry, PBE.

The value obtained for the total DFT energy (no corrections) is -6.084 eV/atom. Its crystal system is orthorhombic.

Lattice parameters (Å, degrees): 3.9120 3.9786 11.9009 90.00 90.00 90.00
Space group Pmmm (No. 47)
Inequivalent atoms, fractional coordinates:
Ba 0.0000 0.0000 0.1790 x2
La 0.0000 0.0000 0.5000 x1
Cu 0.5000 0.5000 0.0000 x1
Cu 0.5000 0.5000 0.3443 x2
O 0.0000 0.5000 0.3691 x2
O 0.5000 0.0000 0.0000 x1
O 0.5000 0.0000 0.3663 x2
O 0.5000 0.5000 0.1576 x2

---

12.
Ba3La3Cu6O14: optimized geometry, PBE.

The value obtained for the total DFT energy (no corrections) is -6.301 eV/atom. Its crystal system is orthorhombic.

Lattice parameters (Å, degrees): 7.7657 7.9628 23.5916 90.00 90.00 90.00
Space group Fmm2 (No. 42)
Inequivalent atoms, fractional coordinates:
Ba 0.0000 0.0000 0.0000 x4
Ba 0.0000 0.0000 0.1817 x4
Ba 0.0000 0.0000 0.6793 x4
La 0.0000 0.0000 0.3411 x4
La 0.0000 0.0000 0.4987 x4
La 0.0000 0.0000 0.8419 x4
Cu 0.2500 0.2500 0.0883 x8
Cu 0.2500 0.2500 0.2652 x8
Cu 0.2500 0.2500 0.4174 x8
O 0.0000 0.2429 0.4114 x8
O 0.0000 0.2486 0.7777 x8
O 0.2122 0.0000 0.5810 x8
O 0.2455 0.0000 0.4110 x8
O 0.2493 0.0000 0.7753 x8
O 0.2500 0.2500 0.0089 x8
O 0.2500 0.2500 0.1676 x8

---

13.
Ba2LaCu3O7: optimized geometry, PBE.

The value obtained for the total DFT energy (no corrections) is -6.038 eV/atom. Its crystal system is tetragonal.

Lattice parameters (Å, degrees): 3.9929 3.9929 11.5944 90.00 90.00 90.00
Space group P4mm (No. 99)
Inequivalent atoms, fractional coordinates:
Ba 0.0000 0.0000 0.0000 x1
Ba 0.0000 0.0000 0.3384 x1
La 0.0000 0.0000 0.6657 x1
Cu 0.5000 0.5000 0.1607 x1
Cu 0.5000 0.5000 0.5220 x1
Cu 0.5000 0.5000 0.8226 x1
O 0.0000 0.5000 0.1845 x2
O 0.0000 0.5000 0.5258 x2
O 0.0000 0.5000 0.7948 x2
O 0.5000 0.5000 0.9916 x1

---

14.
Ba3La3Cu6O14: optimized geometry, PBE.

The value obtained for the total DFT energy (no corrections) is -6.225 eV/atom. Its crystal system is orthorhombic.

Lattice parameters (Å, degrees): 5.6605 5.7428 11.0628 90.00 90.00 90.00
Space group Pmmm (No. 47)
Inequivalent atoms, fractional coordinates:
Ba 0.0000 0.0000 0.0000 x1
Ba 0.5000 0.5000 0.3311 x2
La 0.0000 0.0000 0.3376 x2
La 0.5000 0.5000 0.0000 x1
Cu 0.0000 0.5000 0.1492 x2
Cu 0.0000 0.5000 0.5000 x1
Cu 0.5000 0.0000 0.1586 x2
Cu 0.5000 0.0000 0.5000 x1
O 0.2157 0.2453 0.5000 x4
O 0.2467 0.2667 0.1541 x8
O 0.5000 0.0000 0.3334 x2

---

15.
Ba3La3Pr3Cu9O22: optimized geometry, PBE.

The value obtained for the total DFT energy (no corrections) is -6.447 eV/atom. Its crystal system is triclinic.

Lattice parameters (Å, degrees): 5.5501 8.7151 12.1752 74.17 77.22 72.80
Space group P1 (No. 1)
Inequivalent atoms, fractional coordinates:
Ba 0.0000 0.0000 0.0000 x1
Ba 0.1205 0.1281 0.6378 x1
Ba 0.6815 0.6657 0.9921 x1
La 0.3385 0.3372 0.9919 x1
La 0.4272 0.4807 0.6483 x1
La 0.7956 0.8041 0.6388 x1
Pr 0.2274 0.2325 0.3182 x1
Pr 0.5651 0.5624 0.3184 x1
Pr 0.8891 0.8992 0.3203 x1
Cu 0.0042 0.5139 0.4743 x1
Cu 0.1125 0.6144 0.1666 x1
Cu 0.2311 0.7204 0.8200 x1
Cu 0.3448 0.8504 0.4705 x1
Cu 0.4442 0.9462 0.1708 x1
Cu 0.5613 0.0786 0.8140 x1
Cu 0.6722 0.1853 0.4716 x1
Cu 0.7779 0.2791 0.1676 x1
Cu 0.8819 0.3981 0.8154 x1
O 0.0114 0.0102 0.4612 x1
O 0.0351 0.5975 0.7753 x1
O 0.1077 0.1120 0.1851 x1
O 0.1703 0.6811 0.4808 x1
O 0.1783 0.6592 0.9813 x1
O 0.2603 0.2628 0.8065 x1
O 0.2688 0.7732 0.1962 x1
O 0.3466 0.3619 0.4574 x1
O 0.3620 0.7889 0.6622 x1
O 0.4364 0.4367 0.1838 x1
O 0.5001 0.0524 0.9752 x1
O 0.5131 0.0274 0.4469 x1
O 0.5300 0.5152 0.8281 x1
O 0.6083 0.1040 0.1894 x1
O 0.6141 0.1007 0.6550 x1
O 0.6790 0.6893 0.4536 x1
O 0.7721 0.7749 0.1844 x1
O 0.8277 0.3321 0.9788 x1
O 0.8541 0.3550 0.4428 x1
O 0.8711 0.9102 0.8131 x1
O 0.8766 0.4455 0.6544 x1
O 0.9378 0.4421 0.1816 x1